1.
The following is a DFT calculation (r²SCAN) of a geometry-optimized Ho12In3Fe2 structure.

```
Ho12In3Fe2
1.0
7.137 -1.620 4.166
-5.627 -5.932 2.017
1.416 -0.056 -8.301
Ho Fe In
12 2 3
direct
0.206 0.454 0.248
0.306 0.306 0.613
0.546 0.794 0.752
0.306 0.694 0.000
0.206 0.958 0.752
0.454 0.206 0.248
0.794 0.546 0.752
0.958 0.206 0.752
0.694 0.306 0.000
0.042 0.794 0.248
0.694 0.694 0.387
0.794 0.042 0.248
0.616 0.616 0.000
0.384 0.384 0.000
0.000 0.500 0.500
0.000 0.000 0.000
0.500 0.000 0.500
```

Its space group is I4/mmm (139). For the formation energy, the calculation gives -0.251 eV/atom. The density is 8.8 g cm⁻³.

***

2.
The following is a DFT calculation (r²SCAN) of a geometry-optimized Ca3Mg structure.

```
Ca3Mg
1.0
-2.072 3.004 6.019
2.072 -3.004 6.019
2.072 3.004 -6.019
Ca Mg
3 1
direct
0.645 0.725 0.920
0.195 0.275 0.920
0.914 0.500 0.414
0.412 0.000 0.412
```

Its space group is Imm2 (44). For the formation energy, the calculation gives 0.004 eV/atom. The density is 1.6 g cm⁻³.

***

3.
The following is a DFT calculation (r²SCAN) of a geometry-optimized Tm6FeSb2 structure.

```
Tm6FeSb2
1.0
-7.762 0.571 -2.135
5.682 -0.932 -5.655
-0.381 -4.092 0.292
Sb Tm Fe
2 6 1
direct
0.667 0.333 0.000
0.333 0.667 0.000
0.763 0.763 0.000
0.604 0.000 0.500
0.000 0.604 0.500
0.000 0.237 0.000
0.237 0.000 0.000
0.396 0.396 0.500
0.000 0.000 0.500
```

Its space group is P-62m (189). For the formation energy, the calculation gives -0.619 eV/atom. The density is 9.4 g cm⁻³.